1.
Tl3Co3O8: optimized geometry, PBE+U.

```
Tl3Co3O8
1.0
-0.0336 5.5811 0.0000
-0.0156 -0.0002 11.3291
5.5686 -0.0338 0.0068
Co O Tl
6 16 6
Direct
0.6916 0.9976 0.7992
0.7506 0.3290 0.7558
0.2513 0.6710 0.2431
0.2479 0.3304 0.2399
0.1920 0.0015 0.1990
0.7484 0.6669 0.7652
0.3388 0.0010 0.8707
0.5596 0.6348 0.4501
0.7998 0.8485 0.6516
0.8382 0.9997 0.1297
0.3028 0.8558 0.3518
0.5464 0.3672 0.4315
0.3014 0.1497 0.3483
0.9651 0.2785 0.0564
0.9534 0.7191 0.0444
0.4569 0.2826 0.9506
0.4617 0.7231 0.9498
0.0524 0.6320 0.5629
0.6893 0.5053 0.8678
0.8035 0.1444 0.6492
0.1875 0.4968 0.1305
0.0540 0.3650 0.5505
0.1986 0.1789 0.7334
0.1994 0.8206 0.7325
0.6966 0.8204 0.2636
0.8045 0.5025 0.2736
0.6971 0.1788 0.2639
0.2976 0.4989 0.7351
```

Output
**Final energy**: -5.227 eV/atom
**E_form**: -1113.7 meV per atom
**Magnetic moment**: 12.0 μB/cell

2.
Ba3Nb2CoO9: optimized geometry, PBE+U.

```
Ba3Nb2CoO9
1.0
-1.3499 -2.9907 4.8077
9.1383 2.2558 3.9696
-2.9017 5.9343 2.8799
O Co Ba Nb
18 2 6 4
Direct
0.5002 0.3220 0.6748
0.0002 0.8220 0.6748
0.4998 0.6780 0.3252
0.2543 0.9183 0.3255
0.9998 0.1780 0.3252
0.2499 0.7500 0.9999
0.7501 0.7500 0.9999
0.7501 0.2500 0.0001
0.2458 0.5816 0.6744
0.0000 0.5000 0.0000
0.2499 0.2500 0.0001
0.7457 0.0817 0.6745
0.2448 0.4185 0.3260
0.7447 0.9185 0.3259
0.5000 0.0000 0.0000
0.7552 0.5815 0.6740
0.2553 0.0815 0.6741
0.7542 0.4184 0.3256
0.0000 0.0000 0.5000
0.5000 0.5000 0.5000
0.5000 0.5000 0.0000
0.0000 0.0000 0.0000
0.9999 0.6681 0.3345
0.5001 0.8319 0.6656
0.0001 0.3319 0.6655
0.4999 0.1681 0.3344
0.5002 0.1648 0.8219
0.9998 0.3352 0.1780
0.4998 0.8352 0.1781
0.0002 0.6648 0.8220
```

Output
**Final energy**: -7.671 eV/atom
**E_form**: -3019.4 meV per atom
**Magnetic moment**: 0.0 μB/cell

3.
NaFe11O17: optimized geometry, PBE+U.

```
NaFe11O17
1.0
-5.5931 -1.8422 -1.1835
4.6445 -2.4612 -2.9082
1.9084 -16.4890 17.0177
Fe O Na
22 34 2
Direct
0.3347 0.6670 0.0255
0.0002 0.0003 0.5000
0.8359 0.1678 0.1062
0.3340 0.6670 0.3248
0.1664 0.3327 0.8946
0.6661 0.3329 0.8250
0.3342 0.6667 0.4741
0.1676 0.8332 0.6066
0.1676 0.3344 0.6069
0.8286 0.6632 0.1030
0.8334 0.1675 0.3935
0.6659 0.8335 0.6068
0.6659 0.3338 0.5258
0.3344 0.1674 0.3931
0.6674 0.3347 0.9747
0.1673 0.8322 0.8945
0.3315 0.1641 0.1062
0.3320 0.6669 0.1745
0.6679 0.3351 0.6743
0.8332 0.6661 0.3932
0.6651 0.8322 0.8945
0.0026 0.0013 0.0004
0.0007 0.0004 0.6448
0.3324 0.6656 0.5556
0.1540 0.3089 0.0496
0.4929 0.9847 0.6491
0.8467 0.6934 0.9511
0.4961 0.4872 0.1479
0.4931 0.9872 0.8529
0.6957 0.8453 0.0502
0.9921 0.4964 0.3515
0.6672 0.3346 0.4444
0.5093 0.0137 0.1472
0.9865 0.4992 0.1465
0.9986 0.9981 0.8565
0.6654 0.3317 0.7493
0.8470 0.1552 0.9511
0.4961 0.5081 0.6488
0.9985 0.9992 0.3552
0.3321 0.6660 0.2504
0.3076 0.1537 0.5499
0.8458 0.1546 0.5499
0.1536 0.3078 0.4502
0.6716 0.3412 0.0556
0.1540 0.8459 0.4503
0.3347 0.6684 0.9454
0.3081 0.1566 0.9510
0.6928 0.8468 0.4502
0.8465 0.6926 0.5498
0.5038 0.4941 0.3508
0.4927 0.5046 0.8527
0.0117 0.5050 0.8528
0.1629 0.8508 0.0486
0.0094 0.5054 0.6485
0.5037 0.0092 0.3524
0.9955 0.9879 0.1427
0.3331 0.6665 0.7492
0.6662 0.3335 0.2501
```

Output
**Final energy**: -6.502 eV/atom
**E_form**: -1601.7 meV per atom
**Magnetic moment**: 110.0 μB/cell